PuIn7Pt2: relaxed, PBE.

Computed properties:
energy	-46.59	eV/cell
formation energy from the elements	-0.09	eV per atom
magnetization	0.63	μB per cell

Cell lengths 11.819, 11.819, 11.819 Å; angles 157.90, 157.90, 31.46 degrees
Sites, in units of the cell vectors:
Pt 0.319 0.319 0.000
Pt 0.681 0.681 0.000
In 0.607 0.107 0.500
In 0.250 0.750 0.500
In 0.500 0.500 0.000
In 0.893 0.393 0.500
In 0.393 0.893 0.500
In 0.750 0.250 0.500
In 0.107 0.607 0.500
Pu 0.000 0.000 0.000